36
Lattice="-3.8338 -0.0938 -12.3220 -2.4380 -4.5298 0.7930 -7.5243 0.0982 2.3403" Properties=species:S:1:pos:R:3 comment="BaAlPO5F | the Materials Project database | PBE | relaxed" energy_ev_per_atom=-6.8827 rho_g_cm3=4.21 formation_energy_ev_per_atom=-3.123 pbc="T T T"
Ba -4.9776 -1.6917 -7.9197
Ba -8.8185 -2.8337 -1.2690
Ba -4.6845 -2.8737 -1.2441
Ba -9.1116 -1.6516 -7.9446
Al -1.2190 -2.2649 0.3965
Al -6.8981 -2.2627 -4.5943
Al -3.7622 0.0491 1.1702
Al -1.9169 -0.0469 -6.1610
P -7.0111 -4.0149 -9.8117
P -6.7850 -0.5105 0.6230
P -4.0934 -0.5858 -3.9878
P -9.7027 -3.9396 -5.2009
O -5.7920 -3.3309 -10.5030
O -8.0041 -1.1944 1.3144
O -5.4866 -1.2740 -3.8559
O -8.3096 -3.2514 -5.3328
O -5.5570 -3.1250 -5.5923
O -8.2391 -1.4004 -3.5964
O -2.8932 -1.4107 0.3237
O -10.9029 -3.1147 -9.5123
O -6.7556 -3.5653 -3.1044
O -7.0405 -0.9601 -6.0843
O -4.3305 -1.0350 -10.6360
O -9.4656 -3.4904 1.4473
O -8.3351 -3.6713 -10.5534
O -5.4610 -0.8541 1.3647
O -3.4224 -0.9454 -5.3448
O -10.3737 -3.5800 -3.8438
O -7.0642 -3.5466 -8.3535
O -6.7319 -0.9787 -0.8351
O -3.2204 -1.0340 -2.8108
O -10.5757 -3.4914 -6.3779
F -3.7937 -3.9159 -3.7527
F -10.0024 -0.6095 -5.4360
F -7.1388 -0.6806 -9.4944
F -6.6573 -3.8448 0.3057